# PBE Ho, optimized geometry
data_Ho
_chemical_formula_sum 'Ho2'
_cell_length_a 3.6088
_cell_length_b 3.6088
_cell_length_c 5.5775
_cell_angle_alpha 90.00
_cell_angle_beta 90.00
_cell_angle_gamma 120.00
_symmetry_space_group_name_H-M 'P 63/m m c'
_symmetry_Int_Tables_number 194
_symmetry_space_group_name_Hall '-P 6c 2c'
loop_
_atom_site_label
_atom_site_type_symbol
_atom_site_fract_x
_atom_site_fract_y
_atom_site_fract_z
_atom_site_occupancy
Ho1 Ho 0.3333 0.6667 0.2500 1
# Electronic total energy = -9.14 eV for the cell shown

=====

# PBE Ho, optimized geometry
data_Ho
_chemical_formula_sum 'Ho4'
_cell_length_a 3.5402
_cell_length_b 3.5402
_cell_length_c 11.4270
_cell_angle_alpha 90.00
_cell_angle_beta 90.00
_cell_angle_gamma 120.00
_symmetry_space_group_name_H-M 'P 63/m m c'
_symmetry_Int_Tables_number 194
_symmetry_space_group_name_Hall '-P 6c 2c'
loop_
_atom_site_label
_atom_site_type_symbol
_atom_site_fract_x
_atom_site_fract_y
_atom_site_fract_z
_atom_site_occupancy
Ho1 Ho 0.0000 0.0000 0.0000 1
Ho2 Ho 0.3333 0.6667 0.2500 1
# Electronic total energy = -18.31 eV for the cell shown

=====

# PBE Ho, optimized geometry
data_Ho
_chemical_formula_sum 'Ho2'
_cell_length_a 3.9830
_cell_length_b 3.9830
_cell_length_c 3.9830
_cell_angle_alpha 90.00
_cell_angle_beta 90.00
_cell_angle_gamma 90.00
_symmetry_space_group_name_H-M 'I m -3 m'
_symmetry_Int_Tables_number 229
_symmetry_space_group_name_Hall '-I 4 2 3'
loop_
_atom_site_label
_atom_site_type_symbol
_atom_site_fract_x
_atom_site_fract_y
_atom_site_fract_z
_atom_site_occupancy
Ho1 Ho 0.0000 0.0000 0.0000 1
# Electronic total energy = -8.87 eV for the cell shown

=====

Look up the electronic total energy of the third one.
-8.87 eV for the cell shown

=====

Which of these has the lowest electronic total energy?
number 2

=====

Look up the electronic total energy of the third one.
-8.87 eV for the cell shown